First-principles (GGA-PBE) data for an optimized crystal structure of Sr2CaOsO6, as listed in Materials Project.

Lattice parameters (Å, degrees): 8.314 8.314 8.314 90.00 90.00 90.00
Space group Fm-3m (No. 225)
One atom of each set of equivalent atoms:
Sr 0.250 0.250 0.250 [8 per cell]
Ca 0.000 0.000 0.000 [4 per cell]
Os 0.000 0.000 0.500 [4 per cell]
O 0.000 0.000 0.268 [24 per cell]

Summary:
Volume ... 14.37 Å³/atom
Calculated formation energy ... -2635 meV per atom
E_tot ... -274.13 eV for the cell shown

First-principles (GGA-PBE) data for an optimized crystal structure of PmInAg2, as listed in Materials Project.

Lattice parameters (Å, degrees): 7.122 7.122 7.122 90.00 90.00 90.00
Space group Fm-3m (No. 225)
One atom of each set of equivalent atoms:
Pm 0.000 0.000 0.000 [4 per cell]
In 0.000 0.000 0.500 [4 per cell]
Ag 0.250 0.250 0.250 [8 per cell]

Summary:
Volume ... 22.58 Å³/atom
Calculated formation energy ... -372 meV per atom
E_tot ... -58.63 eV for the cell shown

First-principles (GGA-PBE) data for an optimized crystal structure of Na2Ca2Ti2SiS5O24, as listed in Materials Project.

Lattice parameters (Å, degrees): 8.921 8.943 23.188 89.79 89.97 60.20
Space group P1 (No. 1)
One atom of each set of equivalent atoms:
Na 0.000 0.000 0.000 [1 per cell]
Na 0.004 0.989 0.496 [1 per cell]
Na 0.304 0.336 0.837 [1 per cell]
Na 0.337 0.319 0.329 [1 per cell]
Na 0.654 0.686 0.162 [1 per cell]
Na 0.666 0.671 0.664 [1 per cell]
Ca 0.328 0.334 0.978 [1 per cell]
Ca 0.331 0.331 0.180 [1 per cell]
Ca 0.656 0.682 0.318 [1 per cell]
Ca 0.662 0.672 0.808 [1 per cell]
Ca 0.995 0.006 0.142 [1 per cell]
Ca 0.997 0.003 0.637 [1 per cell]
Ti 0.011 0.999 0.348 [1 per cell]
Ti 0.322 0.343 0.477 [1 per cell]
Ti 0.329 0.357 0.681 [1 per cell]
Ti 0.630 0.685 0.514 [1 per cell]
Ti 0.674 0.657 0.008 [1 per cell]
Ti 0.998 0.016 0.853 [1 per cell]
Si 0.335 0.622 0.575 [1 per cell]
Si 0.355 0.979 0.414 [1 per cell]
Si 0.958 0.375 0.908 [1 per cell]
S 0.009 0.703 0.743 [1 per cell]
S 0.011 0.642 0.076 [1 per cell]
S 0.038 0.359 0.579 [1 per cell]
S 0.274 0.025 0.746 [1 per cell]
S 0.284 0.709 0.250 [1 per cell]
S 0.345 0.015 0.076 [1 per cell]
S 0.359 0.687 0.912 [1 per cell]
S 0.599 0.049 0.577 [1 per cell]
S 0.631 0.353 0.075 [1 per cell]
S 0.660 0.371 0.418 [1 per cell]
S 0.679 0.959 0.911 [1 per cell]
S 0.694 0.288 0.744 [1 per cell]
S 0.707 0.009 0.252 [1 per cell]
S 0.958 0.674 0.418 [1 per cell]
S 0.998 0.293 0.251 [1 per cell]
O 0.002 0.183 0.304 [1 per cell]
O 0.016 0.207 0.581 [1 per cell]
O 0.032 0.780 0.796 [1 per cell]
O 0.081 0.545 0.130 [1 per cell]
O 0.118 0.557 0.026 [1 per cell]
O 0.132 0.368 0.632 [1 per cell]
O 0.138 0.526 0.429 [1 per cell]
O 0.141 0.342 0.527 [1 per cell]
O 0.154 0.324 0.916 [1 per cell]
O 0.160 0.301 0.256 [1 per cell]
O 0.164 0.989 0.405 [1 per cell]
O 0.167 0.033 0.800 [1 per cell]
O 0.170 0.807 0.574 [1 per cell]
O 0.175 0.524 0.737 [1 per cell]
O 0.179 0.818 0.303 [1 per cell]
O 0.185 0.854 0.908 [1 per cell]
O 0.191 0.006 0.695 [1 per cell]
O 0.195 0.987 0.079 [1 per cell]
O 0.200 0.802 0.198 [1 per cell]
O 0.278 0.189 0.745 [1 per cell]
O 0.286 0.544 0.256 [1 per cell]
O 0.318 0.170 0.433 [1 per cell]
O 0.322 0.125 0.026 [1 per cell]
O 0.327 0.543 0.920 [1 per cell]
O 0.335 0.499 0.524 [1 per cell]
O 0.359 0.503 0.636 [1 per cell]
O 0.367 0.088 0.131 [1 per cell]
O 0.449 0.877 0.751 [1 per cell]
O 0.450 0.709 0.963 [1 per cell]
O 0.452 0.668 0.859 [1 per cell]
O 0.458 0.688 0.254 [1 per cell]
O 0.459 0.836 0.469 [1 per cell]
O 0.472 0.918 0.359 [1 per cell]
O 0.498 0.130 0.631 [1 per cell]
O 0.506 0.150 0.525 [1 per cell]
O 0.507 0.845 0.068 [1 per cell]
O 0.509 0.342 0.428 [1 per cell]
O 0.519 0.291 0.738 [1 per cell]
O 0.519 0.630 0.569 [1 per cell]
O 0.535 0.375 0.130 [1 per cell]
O 0.536 0.168 0.256 [1 per cell]
O 0.545 0.138 0.920 [1 per cell]
O 0.548 0.332 0.025 [1 per cell]
O 0.618 0.872 0.573 [1 per cell]
O 0.623 0.471 0.364 [1 per cell]
O 0.637 0.520 0.068 [1 per cell]
O 0.645 0.892 0.859 [1 per cell]
O 0.655 0.468 0.748 [1 per cell]
O 0.683 0.465 0.468 [1 per cell]
O 0.691 0.852 0.253 [1 per cell]
O 0.699 0.848 0.963 [1 per cell]
O 0.770 0.035 0.578 [1 per cell]
O 0.778 0.184 0.797 [1 per cell]
O 0.793 0.009 0.199 [1 per cell]
O 0.794 0.209 0.693 [1 per cell]
O 0.811 0.209 0.079 [1 per cell]
O 0.813 0.008 0.304 [1 per cell]
O 0.818 0.199 0.414 [1 per cell]
O 0.826 0.481 0.966 [1 per cell]
O 0.835 0.655 0.068 [1 per cell]
O 0.842 0.697 0.467 [1 per cell]
O 0.844 0.463 0.257 [1 per cell]
O 0.852 0.954 0.905 [1 per cell]
O 0.862 0.672 0.745 [1 per cell]
O 0.869 0.476 0.852 [1 per cell]
O 0.869 0.520 0.576 [1 per cell]
O 0.903 0.631 0.364 [1 per cell]
O 0.957 0.183 0.901 [1 per cell]
O 0.974 0.832 0.412 [1 per cell]
O 0.979 0.820 0.079 [1 per cell]
O 0.991 0.211 0.198 [1 per cell]
O 0.994 0.803 0.691 [1 per cell]

Summary:
Volume ... 14.86 Å³/atom
Calculated formation energy ... -2519 meV per atom
E_tot ... -724.46 eV for the cell shown

First-principles (GGA-PBE) data for an optimized crystal structure of RbLiZnS2, as listed in Materials Project.

Lattice parameters (Å, degrees): 4.025 4.025 13.761 90.00 90.00 90.00
Space group I-4m2 (No. 119)
One atom of each set of equivalent atoms:
Rb 0.000 0.000 0.000 [2 per cell]
Li 0.000 0.500 0.750 [2 per cell]
Zn 0.000 0.500 0.250 [2 per cell]
S 0.000 0.000 0.347 [4 per cell]

Summary:
Volume ... 22.30 Å³/atom
Piezoelectric modulus e_max ... 0.2 C/m²
Calculated formation energy ... -1327 meV per atom
E_tot ... -36.11 eV for the cell shown

First-principles (GGA-PBE) data for an optimized crystal structure of KB3H2O6, as listed in Materials Project.

Lattice parameters (Å, degrees): 11.552 11.552 16.703 90.00 90.00 90.00
Space group P4/ncc (No. 130, origin choice 2)
One atom of each set of equivalent atoms:
K 0.250 0.250 0.016 [4 per cell]
K 0.250 0.250 0.261 [4 per cell]
K 0.250 0.750 0.000 [4 per cell]
K 0.250 0.750 0.250 [4 per cell]
B 0.003 0.612 0.358 [16 per cell]
B 0.017 0.097 0.850 [16 per cell]
B 0.018 0.693 0.113 [16 per cell]
H 0.011 0.215 0.991 [16 per cell]
H 0.030 0.217 0.641 [16 per cell]
O 0.005 0.051 0.653 [16 per cell]
O 0.011 0.708 0.025 [16 per cell]
O 0.041 0.699 0.656 [16 per cell]
O 0.069 0.207 0.143 [16 per cell]
O 0.090 0.134 0.360 [16 per cell]
O 0.119 0.622 0.371 [16 per cell]

Summary:
Volume ... 11.61 Å³/atom
Calculated formation energy ... -2413 meV per atom
E_tot ... -1319.37 eV for the cell shown

First-principles (GGA-PBE) data for an optimized crystal structure of ZrSn, as listed in Materials Project.

Lattice parameters (Å, degrees): 6.720 15.692 5.350 90.00 90.00 90.00
Space group Pbcm (No. 57)
One atom of each set of equivalent atoms:
Zr 0.123 0.152 0.250 [4 per cell]
Zr 0.372 0.659 0.250 [4 per cell]
Zr 0.375 0.173 0.750 [4 per cell]
Sn 0.116 0.685 0.750 [4 per cell]
Sn 0.130 0.010 0.750 [4 per cell]
Sn 0.377 0.510 0.750 [4 per cell]

Summary:
Volume ... 23.51 Å³/atom
Calculated formation energy ... -237 meV per atom
E_tot ... -156.36 eV for the cell shown